Density functional theory data (PBE) for a relaxed structure of NaB3H8.

The MP2020-corrected energy is -4.34 eV/atom. The total moment is 0.00 μB per formula unit. For the offset from the most stable computed form, the calculation gives 2.2 meV per atom.

a b c (Å): 4.714 8.432 5.984
angles (deg): 90.00 90.00 90.00
Space group Pmmn (No. 59, origin choice 2)
One atom of each set of equivalent atoms:
Na 0.250 0.250 0.050
B 0.250 0.644 0.232
B 0.250 0.750 0.490
H 0.032 0.750 0.598
H 0.034 0.587 0.156
H 0.250 0.585 0.427

=====

Density functional theory data (PBE) for a relaxed structure of Sc2TlC.

a b c (Å): 3.3776 3.3776 15.3513
angles (deg): 90.00 90.00 120.00
Space group P6_3/mmc (No. 194)
One atom of each set of equivalent atoms:
Sc 0.3333 0.6667 0.0795
Tl 0.3333 0.6667 0.7500
C 0.0000 0.0000 0.0000

=====

Density functional theory data (PBE) for a relaxed structure of NbAl6Mo.

The total moment is 0.53 μB per formula unit.

a b c (Å): 3.836 3.836 8.496
angles (deg): 90.00 90.00 90.00
Space group P4/mmm (No. 123)
One atom of each set of equivalent atoms:
Nb 0.000 0.000 0.000
Al 0.000 0.000 0.500
Al 0.000 0.500 0.254
Al 0.500 0.500 0.000
Mo 0.500 0.500 0.500

=====

Density functional theory data (PBE) for a relaxed structure of La2B6Rh9.

a b c (Å): 5.6977 5.6977 8.5494
angles (deg): 90.00 90.00 120.00
Space group P6/mmm (No. 191)
One atom of each set of equivalent atoms:
La 0.0000 0.0000 0.2125
B 0.3333 0.6667 0.1666
B 0.3333 0.6667 0.5000
Rh 0.0000 0.5000 0.0000
Rh 0.0000 0.5000 0.3366

=====

We obtain calculated total energy values of -4.216, -6.570, -5.776, -7.480 eV/atom for the records listed above, in that order.